Run w
Density functional theory data (PBE with a Hubbard U) for an optimized crystal structure of Li2AlFeO4.

Geometry as extended XYZ:
```
64
Lattice="10.108 0.000 0.000 0.000 5.034 0.000 0.000 0.000 14.284" Properties=species:S:1:pos:R:3 pbc="T T T"
Li 0.098 0.290 0.000
Li 0.116 2.743 8.924
Li 2.085 2.647 10.772
Li 2.103 0.172 12.252
Li 2.951 0.172 5.109
Li 2.968 2.647 3.630
Li 4.938 2.743 1.782
Li 4.956 0.290 7.142
Li 5.152 4.744 0.000
Li 5.169 2.291 8.924
Li 7.139 2.387 10.772
Li 7.157 4.862 12.252
Li 8.004 4.862 5.109
Li 8.022 2.387 3.630
Li 9.992 2.291 1.782
Li 10.010 4.744 7.142
Al 0.212 4.757 3.585
Al 2.280 0.047 9.029
Al 2.774 0.047 1.887
Al 4.842 4.757 10.728
Al 5.266 0.277 3.585
Al 7.334 4.987 9.029
Al 7.828 4.987 1.887
Al 9.896 0.277 10.728
Fe 0.269 2.270 5.303
Fe 2.268 2.566 0.003
Fe 2.786 2.566 7.145
Fe 4.785 2.270 12.445
Fe 5.323 2.764 5.303
Fe 7.321 2.468 0.003
Fe 7.840 2.468 7.145
Fe 9.839 2.764 12.445
O 0.169 0.914 12.356
O 0.257 3.584 10.805
O 0.667 3.509 13.926
O 0.939 1.055 9.612
O 1.587 3.804 7.973
O 1.615 1.131 1.068
O 1.925 4.380 3.302
O 2.144 1.933 5.441
O 2.909 1.933 12.583
O 3.128 4.380 10.444
O 3.439 1.131 8.211
O 3.467 3.804 0.831
O 4.114 1.055 2.470
O 4.387 3.509 6.784
O 4.797 3.584 3.663
O 4.885 0.914 5.214
O 5.223 4.120 12.356
O 5.311 1.450 10.805
O 5.720 1.525 13.926
O 5.993 3.979 9.612
O 6.641 1.230 7.973
O 6.669 3.903 1.068
O 6.979 0.654 3.302
O 7.198 3.101 5.441
O 7.963 3.101 12.583
O 8.182 0.654 10.444
O 8.492 3.903 8.211
O 8.521 1.230 0.831
O 9.168 3.979 2.470
O 9.441 1.525 6.784
O 9.851 1.450 3.663
O 9.939 4.120 5.214
```

## Properties
total moment: 0.00 Bohr magnetons per cell

***

Run x
Density functional theory data (PBE with a Hubbard U) for an optimized crystal structure of Li2AlFeO4.

Geometry as extended XYZ:
```
32
Lattice="10.958 0.000 0.000 0.000 5.101 0.000 0.000 0.000 6.454" Properties=species:S:1:pos:R:3 pbc="T T T"
Li 0.959 1.131 0.000
Li 1.833 3.532 1.597
Li 3.646 0.982 4.825
Li 4.520 3.682 3.227
Li 6.438 1.419 0.000
Li 7.312 4.118 1.597
Li 9.125 1.568 4.825
Li 9.999 3.969 3.227
Al 1.821 3.492 4.825
Al 3.658 0.942 1.598
Al 7.300 4.159 4.825
Al 9.137 1.608 1.598
Fe 0.945 0.953 3.197
Fe 4.534 3.504 6.424
Fe 6.424 1.597 3.197
Fe 10.013 4.147 6.424
O 0.931 3.952 6.305
O 1.041 4.142 3.357
O 1.757 1.705 4.742
O 1.961 1.496 1.673
O 3.518 4.046 4.900
O 3.722 4.255 1.515
O 4.438 1.592 0.129
O 4.548 1.402 3.077
O 6.410 3.699 6.305
O 6.520 3.509 3.357
O 7.236 0.845 4.742
O 7.440 1.054 1.673
O 8.997 3.605 4.900
O 9.201 3.396 1.515
O 9.917 0.959 0.129
O 10.027 1.148 3.077
```

## Properties
total moment: 20.00 Bohr magnetons per cell

***

It comes down to run x, which is 0.056 eV/atom more stable than the next structure.